VASP calculation (PBE+U) on a relaxed structure of Mn8O13F3.

a b c (Å): 4.4956 4.9714 11.0541
angles (deg): 89.55 87.76 89.42
Fractional coordinates of all 24 atoms:
Mn1 0.0000 0.0000 0.0000
Mn2 0.0025 0.4787 0.1575
Mn3 0.0082 0.9814 0.5074
Mn4 0.4817 0.9791 0.2414
Mn5 0.4841 0.4975 0.3988
Mn6 0.4879 0.4807 0.9005
Mn7 0.5010 0.9697 0.7517
Mn8 0.9722 0.4860 0.6394
O1 0.2167 0.3172 0.0182
O2 0.2189 0.8049 0.6298
O3 0.2188 0.8119 0.1284
O4 0.2235 0.3140 0.5179
O5 0.2541 0.8135 0.8795
O6 0.2596 0.8207 0.3813
O7 0.2666 0.3129 0.2691
O8 0.7157 0.1506 0.8788
O9 0.7207 0.6471 0.7662
O10 0.7231 0.6579 0.2687
O11 0.7527 0.1541 0.6284
O12 0.7608 0.1620 0.1304
O13 0.7643 0.6627 0.5178
F1 0.2386 0.3019 0.7578
F2 0.7361 0.1560 0.3854
F3 0.7639 0.6680 0.0214

Calculated values
Formation enthalpy at 0 K   -1951 meV/atom

=====

VASP calculation (PBE+U) on a relaxed structure of Mn6O7F5.

a b c (Å): 4.7630 5.6428 7.7098
angles (deg): 84.55 85.30 83.40
Fractional coordinates of all 18 atoms:
Mn1 0.0000 0.0000 0.0000
Mn2 0.0057 0.3422 0.6657
Mn3 0.4960 0.1730 0.3286
Mn4 0.5024 0.8409 0.6629
Mn5 0.5381 0.5291 0.0082
Mn6 0.9874 0.6721 0.3194
O1 0.3082 0.1415 0.5646
O2 0.3102 0.7999 0.8971
O3 0.3140 0.4787 0.2268
O4 0.6968 0.5399 0.7657
O5 0.6970 0.8797 0.4311
O6 0.7031 0.2154 0.1001
O7 0.8140 0.7200 0.0986
F1 0.1800 0.6357 0.5493
F2 0.1890 0.2896 0.8996
F3 0.1982 0.9750 0.2285
F4 0.8093 0.3738 0.4365
F5 0.8163 0.0479 0.7644

Calculated values
Formation enthalpy at 0 K   -2238 meV/atom

=====

VASP calculation (PBE+U) on a relaxed structure of Mn6O7F5.

a b c (Å): 5.6313 5.6313 7.5770
angles (deg): 110.52 110.52 69.25
Fractional coordinates of all 18 atoms:
Mn1 0.0000 0.0000 0.0000
Mn2 0.2840 0.3438 0.8448
Mn3 0.3042 0.3633 0.3212
Mn4 0.6367 0.6958 0.6788
Mn5 0.6562 0.7160 0.1552
Mn6 0.9693 0.0307 0.5000
O1 0.0005 0.6716 0.3307
O2 0.2010 0.2426 0.0434
O3 0.2979 0.7021 0.0000
O4 0.3284 0.9995 0.6693
O5 0.6106 0.0623 0.3318
O6 0.7574 0.7990 0.9566
O7 0.9377 0.3894 0.6682
F1 0.0688 0.1275 0.3019
F2 0.3967 0.4513 0.6167
F3 0.5487 0.6033 0.3833
F4 0.6791 0.3209 0.0000
F5 0.8725 0.9312 0.6981

Calculated values
Formation enthalpy at 0 K   -2228 meV/atom

=====

VASP calculation (PBE+U) on a relaxed structure of Mn6O7F5.

a b c (Å): 4.5587 5.6759 15.3716
angles (deg): 90.00 90.13 90.00
Fractional coordinates of all 36 atoms:
Mn1 0.0000 0.1357 0.0000
Mn2 0.0000 0.8643 0.5000
Mn3 0.0063 0.1511 0.6602
Mn4 0.0063 0.8489 0.1602
Mn5 0.4758 0.3395 0.4830
Mn6 0.4758 0.6605 0.9830
Mn7 0.4911 0.3493 0.1467
Mn8 0.4911 0.6507 0.6467
Mn9 0.5039 0.3464 0.8155
Mn10 0.5039 0.6536 0.3155
Mn11 0.9930 0.1489 0.3304
Mn12 0.9930 0.8511 0.8304
O1 0.2240 0.1021 0.5526
O2 0.2240 0.8979 0.0526
O3 0.2648 0.3867 0.0411
O4 0.2648 0.6133 0.5411
O5 0.2845 0.3826 0.3739
O6 0.2845 0.6174 0.8739
O7 0.2864 0.3875 0.7068
O8 0.2864 0.6125 0.2068
O9 0.7727 0.1105 0.4365
O10 0.7727 0.8895 0.9365
O11 0.7787 0.1187 0.1025
O12 0.7787 0.8813 0.6025
O13 0.7882 0.1189 0.7698
O14 0.7882 0.8811 0.2698
F1 0.2455 0.1206 0.8931
F2 0.2455 0.8794 0.3931
F3 0.2520 0.1170 0.2263
F4 0.2520 0.8830 0.7263
F5 0.7311 0.3756 0.5867
F6 0.7311 0.6244 0.0867
F7 0.7509 0.3725 0.9292
F8 0.7508 0.3818 0.2525
F9 0.7508 0.6182 0.7525
F10 0.7509 0.6275 0.4292

Calculated values
Formation enthalpy at 0 K   -2211 meV/atom

=====

VASP calculation (PBE+U) on a relaxed structure of Mn3O4F2.

a b c (Å): 4.7055 4.7055 8.9699
angles (deg): 90.00 90.00 90.00
Fractional coordinates of all 18 atoms:
Mn1 0.0000 0.0000 0.0000
Mn2 0.0000 0.0000 0.3165
Mn3 0.0000 0.0000 0.6335
Mn4 0.5000 0.5000 0.1335
Mn5 0.5000 0.5000 0.5000
Mn6 0.5000 0.5000 0.8165
O1 0.1832 0.1832 0.4833
O2 0.1999 0.1999 0.1527
O3 0.3001 0.6999 0.6527
O4 0.3168 0.6832 0.9833
O5 0.6832 0.3168 0.9833
O6 0.6999 0.3001 0.6527
O7 0.8001 0.8001 0.1527
O8 0.8168 0.8168 0.4833
F1 0.1797 0.1797 0.8163
F2 0.3203 0.6797 0.3163
F3 0.6797 0.3203 0.3163
F4 0.8203 0.8203 0.8163

Calculated values
Formation enthalpy at 0 K   -2098 meV/atom

=====

VASP calculation (PBE+U) on a relaxed structure of Mn6O7F5.

a b c (Å): 4.7288 5.5923 7.7288
angles (deg): 84.66 87.09 86.41
Fractional coordinates of all 18 atoms:
Mn1 0.0000 0.0000 0.0000
Mn2 0.0032 0.6967 0.3398
Mn3 0.0311 0.3582 0.6664
Mn4 0.4831 0.8315 0.6599
Mn5 0.5236 0.1742 0.3372
Mn6 0.5549 0.5281 0.9975
O1 0.2074 0.6405 0.5571
O2 0.3170 0.1413 0.5637
O3 0.3268 0.8071 0.8977
O4 0.7005 0.8834 0.4416
O5 0.7128 0.2183 0.1045
O6 0.7131 0.5522 0.7608
O7 0.8350 0.7241 0.1157
F1 0.2027 0.2961 0.9108
F2 0.2196 0.9810 0.2380
F3 0.3211 0.4820 0.2332
F4 0.8192 0.0606 0.7561
F5 0.8194 0.3865 0.4270

Calculated values
Formation enthalpy at 0 K   -2223 meV/atom

=====

VASP calculation (PBE+U) on a relaxed structure of Mn3O4F2.

a b c (Å): 4.7123 5.5431 7.7259
angles (deg): 84.16 85.26 85.07
Fractional coordinates of all 18 atoms:
Mn1 0.0000 0.0000 0.0000
Mn2 0.0015 0.3284 0.6661
Mn3 0.4628 0.4762 0.9855
Mn4 0.4690 0.1479 0.3177
Mn5 0.4812 0.8087 0.6664
Mn6 0.9754 0.6463 0.3250
O1 0.1762 0.0204 0.7662
O2 0.1787 0.3512 0.4264
O3 0.1873 0.6956 0.0972
O4 0.2821 0.1980 0.0894
O5 0.3053 0.5276 0.7722
O6 0.7839 0.2795 0.8931
O7 0.7880 0.9533 0.2260
O8 0.7912 0.6123 0.5598
F1 0.2873 0.8567 0.4229
F2 0.6597 0.1007 0.5553
F3 0.6602 0.4428 0.2150
F4 0.6850 0.7678 0.9095

Calculated values
Formation enthalpy at 0 K   -2137 meV/atom

=====

VASP calculation (PBE+U) on a relaxed structure of Mn6O7F5.

a b c (Å): 4.5876 5.6714 15.3163
angles (deg): 90.04 90.37 90.31
Fractional coordinates of all 36 atoms:
Mn1 0.0000 0.0000 0.0000
Mn2 0.0025 0.6764 0.4999
Mn3 0.0056 0.9837 0.6673
Mn4 0.0109 0.6772 0.8360
Mn5 0.4601 0.2017 0.8281
Mn6 0.4754 0.4997 0.6577
Mn7 0.4776 0.4915 0.3246
Mn8 0.4852 0.4784 0.9871
Mn9 0.4877 0.2063 0.4856
Mn10 0.4912 0.1888 0.1549
Mn11 0.9826 0.6876 0.1700
Mn12 0.9950 0.9937 0.3388
O1 0.1988 0.7281 0.2790
O2 0.1986 0.9556 0.1104
O3 0.1998 0.7215 0.6086
O4 0.2133 0.7242 0.9434
O5 0.2166 0.9550 0.4445
O6 0.2179 0.9527 0.7781
O7 0.2572 0.4417 0.7663
O8 0.2578 0.2359 0.9340
O9 0.2609 0.4413 0.4326
O10 0.6962 0.4591 0.2151
O11 0.7053 0.4534 0.8843
O12 0.7063 0.2242 0.3830
O13 0.7072 0.2268 0.0480
O14 0.7081 0.4548 0.5513
F1 0.2343 0.2228 0.2586
F2 0.2390 0.4615 0.0929
F3 0.2504 0.2211 0.5947
F4 0.7090 0.2143 0.7178
F5 0.7335 0.7158 0.0545
F6 0.7357 0.9711 0.5565
F7 0.7374 0.9587 0.2327
F8 0.7441 0.9667 0.8883
F9 0.7487 0.7179 0.3975
F10 0.7557 0.7120 0.7297

Calculated values
Formation enthalpy at 0 K   -2205 meV/atom